DFT (PBE) results for crystalline Na6Nb2In2Si5SO24 at its relaxed geometry.

Output
For the total energy, the calculation gives -6.85 eV/atom.

a = 9.1902 Å, b = 9.1454 Å, c = 22.4861 Å
α = 89.94°, β = 90.06°, γ = 120.11°
Sites, in units of the cell vectors:
O 0.1499 0.6484 0.0800
O 0.8504 0.5730 0.0240
O 0.1773 0.1812 0.4157
Na 0.6727 0.6965 0.0706
O 0.8254 0.3095 0.5284
S 0.3627 0.3230 0.0829
O 0.4836 0.1552 0.2449
Si 0.3693 0.0416 0.5847
O 0.6461 0.1526 0.4214
O 0.1700 0.6827 0.7552
O 0.8593 0.3419 0.6448
O 0.5261 0.7075 0.2582
Na 0.3284 0.6795 0.6617
O 0.8075 0.9667 0.4154
O 0.8029 0.9753 0.6930
O 0.9634 0.1551 0.5881
Na 0.3619 0.3448 0.2544
O 0.5436 0.8596 0.4803
Na 0.6621 0.3155 0.3316
Na 0.6499 0.0197 0.2473
O 0.8045 0.8358 0.1966
O 0.8508 0.3391 0.2459
O 0.3538 0.5011 0.3633
O 0.9445 0.1632 0.3032
O 0.8790 0.5318 0.1423
O 0.0239 0.1843 0.9146
O 0.9862 0.8307 0.0912
In 0.6724 0.3306 0.1832
O 0.3461 0.8675 0.8626
Nb 0.3458 0.6708 0.3142
O 0.1909 0.1714 0.0848
O 0.0349 0.2086 0.1899
O 0.5202 0.3737 0.4185
O 0.6648 0.5044 0.6366
O 0.8130 0.0462 0.8096
Na 0.0134 0.0191 0.4950
Si 0.9546 0.3326 0.5847
O 0.5496 0.6949 0.9780
O 0.3460 0.4765 0.0825
O 0.1864 0.9832 0.9124
O 0.1494 0.4933 0.8588
Si 0.6266 0.6648 0.9177
Na 0.2956 0.3423 0.5792
Si 0.0021 0.2974 0.2502
Si 0.6751 0.6255 0.5811
Si 0.2934 0.9995 0.2528
O 0.6781 0.1638 0.7409
O 0.3149 0.8677 0.9705
Na 0.9901 0.3527 0.7484
O 0.2955 0.8187 0.2573
Si 0.6673 0.0330 0.0839
In 0.3357 0.6740 0.0178
Nb 0.3358 0.6529 0.8067
S 0.0373 0.6582 0.4161
In 0.6869 0.3459 0.9818
In 0.3321 0.6640 0.5218
O 0.5094 0.6445 0.5851
Na 0.3262 0.3007 0.9102
O 0.7008 0.1493 0.0241
O 0.1444 0.4557 0.9778
O 0.8475 0.0249 0.0890
Si 0.9700 0.6412 0.0835
O 0.8690 0.4993 0.4161
O 0.3059 0.4743 0.7540
Nb 0.9945 0.9913 0.6469
O 0.0098 0.8038 0.4149
Na 0.6606 0.9554 0.5780
O 0.2239 0.1888 0.8127
O 0.1430 0.4911 0.5828
O 0.1910 0.0406 0.5902
O 0.0192 0.8319 0.6964
O 0.8430 0.8155 0.5884
O 0.4962 0.1511 0.6388
O 0.6562 0.5111 0.2418
Si 0.6304 0.9636 0.4208
Nb 0.6655 0.3347 0.6870
Si 0.2949 0.2844 0.7505
O 0.6475 0.1136 0.1449
O 0.4659 0.1661 0.5250
Na 0.7017 0.6740 0.4171
Si 0.0417 0.3715 0.9170
O 0.5153 0.8276 0.7559
O 0.1256 0.6507 0.3609
O 0.8581 0.3614 0.9131
O 0.5027 0.8601 0.3620
O 0.1813 0.4790 0.2591
O 0.1649 0.9749 0.1953
O 0.1332 0.6710 0.4696
Na 0.0218 0.3387 0.0784
Na 0.9893 0.6310 0.2481
S 0.3348 0.9598 0.9145
Si 0.3347 0.3684 0.4210
Si 0.7007 0.9985 0.7499
Na 0.7175 0.0393 0.9173
O 0.1643 0.1932 0.6945
In 0.0041 0.0118 0.3528
O 0.3599 0.8626 0.5822
Si 0.0010 0.7044 0.7526
O 0.4916 0.1286 0.9155
O 0.4583 0.3357 0.1373
In 0.9912 0.9975 0.8457
O 0.6234 0.4832 0.9165
Nb 0.9940 0.9945 0.1506
Nb 0.6544 0.3206 0.4797
O 0.4865 0.3239 0.7412
Na 0.9919 0.9943 0.9965
Na 0.9545 0.6635 0.9100
O 0.8161 0.8279 0.9132
O 0.9739 0.7747 0.8145
Si 0.7063 0.7039 0.2541
O 0.5151 0.8371 0.0818
O 0.2167 0.0431 0.3090
O 0.8411 0.5115 0.7435
O 0.5015 0.6539 0.8610
O 0.6929 0.5351 0.5199
O 0.8214 0.7724 0.3124
Na 0.3306 0.6998 0.1614
Na 0.6617 0.3422 0.8302
O 0.4445 0.3099 0.0282
O 0.3211 0.4532 0.4815



DFT (PBE) results for crystalline Na2Nb4In4Si5S7O48 at its relaxed geometry.

Output
For the total energy, the calculation gives -6.88 eV/atom.

a = 17.8661 Å, b = 8.9337 Å, c = 23.2145 Å
α = 89.99°, β = 89.89°, γ = 120.08°
Sites, in units of the cell vectors:
O 0.4196 0.5313 0.7420
O 0.7434 0.1338 0.9233
Si 0.1478 0.2937 0.7500
O 0.2665 0.6891 0.9693
O 0.2412 0.2913 0.7408
Nb 0.3338 0.3478 0.6874
O 0.5935 0.0342 0.3056
O 0.9197 0.5566 0.0247
O 0.5976 0.1850 0.0861
O 0.5027 0.8143 0.6984
O 0.9051 0.8113 0.5897
O 0.5068 0.2050 0.1902
Na 0.8330 0.3375 0.8378
O 0.0561 0.6279 0.3608
O 0.2433 0.3529 0.4231
O 0.2230 0.1400 0.5279
O 0.8964 0.8276 0.9119
S 0.6686 0.9542 0.9172
O 0.0614 0.4767 0.8658
O 0.8486 0.1686 0.7462
O 0.5797 0.4682 0.2637
Na 0.3331 0.3187 0.8440
O 0.5592 0.4848 0.8601
O 0.6591 0.4783 0.7498
O 0.9295 0.3037 0.5308
O 0.9111 0.0108 0.1043
O 0.4105 0.8113 0.6037
O 0.2696 0.8532 0.4699
In 0.8334 0.3336 0.4818
O 0.3873 0.8021 0.1992
Nb 0.8302 0.3283 0.6918
O 0.5923 0.9669 0.1918
O 0.5647 0.6442 0.3665
O 0.1832 0.8669 0.8584
In 0.0065 0.9890 0.3543
S 0.3349 0.0395 0.0837
O 0.0708 0.4531 0.9704
Nb 0.1609 0.6654 0.0237
Nb 0.0092 0.9919 0.8549
S 0.8120 0.6671 0.9166
S 0.3533 0.7044 0.2528
Nb 0.0063 0.0019 0.1400
O 0.2672 0.6736 0.2646
O 0.0965 0.0079 0.5860
O 0.7393 0.3537 0.1335
O 0.0941 0.2268 0.6913
O 0.0969 0.1851 0.0991
O 0.8851 0.9726 0.6975
Nb 0.5036 0.0148 0.3511
O 0.6661 0.8494 0.9699
S 0.6865 0.3317 0.0813
O 0.8126 0.1319 0.1397
O 0.8486 0.5312 0.2391
O 0.8517 0.5606 0.5305
S 0.8578 0.7069 0.2480
O 0.2464 0.1491 0.9181
O 0.9781 0.1782 0.3037
O 0.4217 0.2863 0.5231
O 0.4073 0.0051 0.0913
O 0.9017 0.8178 0.1983
O 0.8984 0.9685 0.4164
O 0.9248 0.4915 0.1381
O 0.9316 0.3503 0.9197
O 0.4052 0.9921 0.6965
O 0.4004 0.8354 0.9162
O 0.9920 0.1775 0.5888
O 0.6817 0.8809 0.8646
O 0.1734 0.4832 0.7655
O 0.9201 0.4908 0.4231
In 0.8389 0.3322 0.9851
Si 0.0164 0.6604 0.4182
O 0.0695 0.4886 0.5746
O 0.7601 0.6434 0.8649
O 0.1819 0.8673 0.5743
O 0.3127 0.4919 0.6390
S 0.3582 0.0088 0.7461
O 0.6830 0.4968 0.0754
O 0.0052 0.8054 0.6883
O 0.3243 0.1283 0.1360
Nb 0.3304 0.3283 0.1883
O 0.3987 0.9685 0.4109
O 0.7626 0.8670 0.3650
S 0.1858 0.0408 0.5815
S 0.8522 0.0000 0.7526
O 0.2387 0.1222 0.6327
O 0.5961 0.0107 0.5979
O 0.6128 0.1683 0.8080
O 0.0699 0.6330 0.0729
In 0.6587 0.6436 0.8101
O 0.8217 0.5115 0.9221
O 0.2295 0.2886 0.0285
O 0.4912 0.8037 0.0884
O 0.7595 0.1470 0.6362
Si 0.1419 0.9982 0.2501
O 0.2735 0.8556 0.7485
O 0.7639 0.8595 0.7617
O 0.9078 0.7729 0.3025
Na 0.4973 0.0061 0.9950
Si 0.6489 0.0083 0.2484
O 0.7465 0.8466 0.0714
O 0.5717 0.5048 0.5697
O 0.8546 0.1522 0.0271
O 0.0758 0.4504 0.2534
Nb 0.6662 0.6628 0.0219
O 0.1161 0.0600 0.3083
O 0.5163 0.8290 0.4104
Na 0.0012 0.9913 0.4967
Nb 0.8328 0.3203 0.1855
O 0.3514 0.5331 0.2479
O 0.0753 0.6734 0.7576
O 0.8202 0.5210 0.6339
O 0.0949 0.1563 0.8057
O 0.7679 0.6838 0.9702
O 0.2464 0.6454 0.5703
O 0.5842 0.4866 0.9743
O 0.0136 0.8407 0.4209
S 0.8109 0.9501 0.4172
O 0.3534 0.1464 0.0325
O 0.4935 0.1753 0.5965
In 0.0037 0.0081 0.6551
O 0.5856 0.9536 0.9187
O 0.7716 0.6855 0.2530
O 0.5814 0.1774 0.6955
O 0.4269 0.3637 0.6372
Nb 0.1657 0.6693 0.5228
O 0.2398 0.1738 0.2341
O 0.0772 0.9562 0.9071
O 0.7414 0.1960 0.2428
O 0.7512 0.6360 0.5728
Si 0.4732 0.3295 0.5821
O 0.2612 0.8760 0.3648
Nb 0.6635 0.6690 0.5264
Si 0.1945 0.3430 0.0818
S 0.4796 0.6278 0.0825
O 0.2588 0.3738 0.1383
In 0.3379 0.3446 0.4858
O 0.6713 0.8656 0.2647
In 0.1676 0.6718 0.8079
O 0.0111 0.1964 0.9103
In 0.1569 0.6724 0.3108
O 0.4276 0.5487 0.0314
S 0.1685 0.3829 0.4174
Nb 0.5047 0.0112 0.6407
O 0.9424 0.3620 0.6349
O 0.7271 0.1650 0.5247
O 0.6829 0.8592 0.5695
O 0.5163 0.1894 0.9209
S 0.5225 0.6691 0.4163
O 0.8173 0.1210 0.4217
O 0.9795 0.8019 0.8048
In 0.5028 0.0010 0.1517
Si 0.9742 0.6184 0.0822
Si 0.3324 0.6261 0.5834
O 0.6539 0.4609 0.4685
O 0.4084 0.0452 0.8004
O 0.9931 0.8123 0.0974
Si 0.9992 0.7088 0.7475
O 0.1657 0.4822 0.4698
O 0.7644 0.8405 0.4694
Si 0.6406 0.2844 0.7505
O 0.4423 0.5221 0.1354
O 0.0810 0.6765 0.4746
O 0.2529 0.8698 0.0777
O 0.4265 0.3615 0.9250
Si 0.8323 0.0367 0.0831
S 0.3125 0.9580 0.4167
O 0.5762 0.7014 0.7526
In 0.3286 0.3234 0.9783
O 0.7381 0.3022 0.7349
Na 0.8429 0.3482 0.3366
O 0.4104 0.3089 0.2415
Si 0.6938 0.0553 0.5822
O 0.9081 0.5150 0.7395
Si 0.4985 0.2925 0.2474
O 0.6780 0.4837 0.3643
Si 0.1712 0.9526 0.9142
S 0.3127 0.6734 0.9171
O 0.3488 0.1658 0.7364
Si 0.5188 0.3747 0.9176
In 0.5036 0.0212 0.8551
O 0.7376 0.3468 0.4202
O 0.1814 0.4828 0.3646
O 0.5817 0.2048 0.4087
O 0.4792 0.1559 0.3059
O 0.5689 0.6483 0.0746
O 0.3234 0.1333 0.4215
S 0.9807 0.3304 0.5834
S 0.6651 0.3791 0.4155
O 0.0801 0.9837 0.1965
O 0.4345 0.5157 0.4203
Na 0.3296 0.3244 0.3338
O 0.9190 0.3084 0.2424
S 0.0202 0.3711 0.9158
O 0.1848 0.5129 0.0695
In 0.6689 0.6706 0.3076
O 0.2657 0.6550 0.8642
S 0.8344 0.6307 0.5829
O 0.7243 0.3064 0.0286
O 0.0021 0.1904 0.1991
O 0.4129 0.7945 0.3035
O 0.3548 0.5586 0.5261
O 0.9094 0.0308 0.8019
S 0.4983 0.7154 0.7498
S 0.9975 0.2813 0.2503
O 0.5745 0.6876 0.4702
O 0.1594 0.8398 0.2505
O 0.0853 0.2167 0.4186
O 0.4793 0.7800 0.8031
O 0.3241 0.5221 0.9229
O 0.1580 0.8319 0.9731